[1]
Material: Co3Sb4O6F6
Method: DFT, PBE with a Hubbard U
State: optimized geometry

```
data_Co3Sb4O6F6
_chemical_formula_sum 'Co6 Sb8 O12 F12'
_cell_length_a 8.313
_cell_length_b 8.313
_cell_length_c 8.313
_cell_angle_alpha 90.00
_cell_angle_beta 90.00
_cell_angle_gamma 90.00
_symmetry_space_group_name_H-M 'P 1'
_symmetry_Int_Tables_number 1
loop_
_symmetry_equiv_pos_as_xyz
'x,y,z'
loop_
_atom_site_label
_atom_site_fract_x
_atom_site_fract_y
_atom_site_fract_z
_atom_site_occupancy
Co1 0.500 0.000 0.500 1
Co2 0.000 0.500 0.500 1
Co3 0.500 0.500 0.000 1
Co4 0.000 0.500 0.000 1
Co5 0.500 0.000 0.000 1
Co6 0.000 0.000 0.500 1
Sb1 0.159 0.159 0.841 1
Sb2 0.659 0.659 0.341 1
Sb3 0.341 0.341 0.341 1
Sb4 0.841 0.841 0.841 1
Sb5 0.659 0.341 0.659 1
Sb6 0.159 0.841 0.159 1
Sb7 0.341 0.659 0.659 1
Sb8 0.841 0.159 0.159 1
O1 0.000 0.249 0.000 1
O2 0.500 0.749 0.500 1
O3 0.751 0.000 0.000 1
O4 0.251 0.500 0.500 1
O5 0.000 0.000 0.249 1
O6 0.500 0.500 0.749 1
O7 0.000 0.751 0.000 1
O8 0.500 0.251 0.500 1
O9 0.249 0.000 0.000 1
O10 0.749 0.500 0.500 1
O11 0.000 0.000 0.751 1
O12 0.500 0.500 0.251 1
F1 0.000 0.500 0.750 1
F2 0.500 0.000 0.250 1
F3 0.000 0.250 0.500 1
F4 0.500 0.750 0.000 1
F5 0.250 0.000 0.500 1
F6 0.750 0.500 0.000 1
F7 0.500 0.000 0.750 1
F8 0.000 0.500 0.250 1
F9 0.250 0.500 0.000 1
F10 0.750 0.000 0.500 1
F11 0.500 0.250 0.000 1
F12 0.000 0.750 0.500 1
```

Values from the calculation:
energy of formation from the pure elements: -2017 meV/atom
total energy after the MP2020 corrections: -6.1760 eV per atom

[2]
Material: Ca2Mn3Si3O14
Method: DFT, PBE with a Hubbard U
State: optimized geometry

```
data_Ca2Mn3Si3O14
_chemical_formula_sum 'Ca4 Mn6 Si6 O28'
_cell_length_a 6.049
_cell_length_b 8.670
_cell_length_c 10.435
_cell_angle_alpha 72.98
_cell_angle_beta 90.00
_cell_angle_gamma 90.00
_symmetry_space_group_name_H-M 'P 1'
_symmetry_Int_Tables_number 1
loop_
_symmetry_equiv_pos_as_xyz
'x,y,z'
loop_
_atom_site_label
_atom_site_fract_x
_atom_site_fract_y
_atom_site_fract_z
_atom_site_occupancy
Ca1 0.250 0.332 0.812 1
Ca2 0.750 0.668 0.188 1
Ca3 0.250 0.239 0.179 1
Ca4 0.750 0.761 0.821 1
Mn1 0.500 0.500 0.500 1
Mn2 0.000 0.500 0.500 1
Mn3 0.500 0.000 0.000 1
Mn4 0.000 0.000 0.000 1
Mn5 0.500 0.000 0.500 1
Mn6 0.000 0.000 0.500 1
Si1 0.250 0.666 0.997 1
Si2 0.750 0.334 0.003 1
Si3 0.250 0.806 0.307 1
Si4 0.750 0.194 0.693 1
Si5 0.250 0.716 0.690 1
Si6 0.750 0.284 0.310 1
O1 0.250 0.616 0.851 1
O2 0.750 0.384 0.149 1
O3 0.250 0.407 0.441 1
O4 0.750 0.593 0.559 1
O5 0.250 0.099 0.558 1
O6 0.750 0.901 0.442 1
O7 0.250 0.916 0.418 1
O8 0.750 0.084 0.582 1
O9 0.481 0.770 0.997 1
O10 0.519 0.230 0.003 1
O11 0.981 0.230 0.003 1
O12 0.019 0.770 0.997 1
O13 0.250 0.056 0.889 1
O14 0.750 0.944 0.111 1
O15 0.250 0.945 0.157 1
O16 0.750 0.055 0.843 1
O17 0.475 0.823 0.659 1
O18 0.525 0.177 0.341 1
O19 0.975 0.177 0.341 1
O20 0.025 0.823 0.659 1
O21 0.471 0.694 0.337 1
O22 0.529 0.306 0.663 1
O23 0.971 0.306 0.663 1
O24 0.029 0.694 0.337 1
O25 0.250 0.575 0.612 1
O26 0.750 0.425 0.388 1
O27 0.250 0.502 0.117 1
O28 0.750 0.498 0.883 1
```

Values from the calculation:
energy of formation from the pure elements: -2654 meV/atom
crystal system: monoclinic
SG: No. 11
total energy after the MP2020 corrections: -7.9745 eV per atom

[3]
Material: NaMg3AlMo5O20
Method: DFT, PBE with a Hubbard U
State: optimized geometry

```
data_NaMg3AlMo5O20
_chemical_formula_sum 'Na2 Mg6 Al2 Mo10 O40'
_cell_length_a 6.958
_cell_length_b 7.032
_cell_length_c 17.954
_cell_angle_alpha 87.74
_cell_angle_beta 87.80
_cell_angle_gamma 78.92
_symmetry_space_group_name_H-M 'P 1'
_symmetry_Int_Tables_number 1
loop_
_symmetry_equiv_pos_as_xyz
'x,y,z'
loop_
_atom_site_label
_atom_site_fract_x
_atom_site_fract_y
_atom_site_fract_z
_atom_site_occupancy
Na1 0.890 0.668 0.691 1
Na2 0.110 0.332 0.309 1
Mg1 0.815 0.171 0.507 1
Mg2 0.185 0.829 0.493 1
Mg3 0.221 0.573 0.874 1
Mg4 0.779 0.427 0.126 1
Mg5 0.831 0.917 0.887 1
Mg6 0.169 0.083 0.113 1
Al1 0.250 0.302 0.735 1
Al2 0.750 0.698 0.265 1
Mo1 0.273 0.062 0.902 1
Mo2 0.727 0.938 0.098 1
Mo3 0.783 0.178 0.717 1
Mo4 0.217 0.822 0.283 1
Mo5 0.270 0.307 0.532 1
Mo6 0.730 0.693 0.468 1
Mo7 0.752 0.454 0.914 1
Mo8 0.248 0.546 0.086 1
Mo9 0.318 0.783 0.693 1
Mo10 0.682 0.217 0.307 1
O1 0.145 0.872 0.879 1
O2 0.855 0.128 0.121 1
O3 0.517 0.210 0.509 1
O4 0.483 0.790 0.491 1
O5 0.246 0.345 0.631 1
O6 0.754 0.655 0.369 1
O7 0.182 0.801 0.610 1
O8 0.818 0.199 0.390 1
O9 0.807 0.122 0.622 1
O10 0.193 0.878 0.378 1
O11 0.519 0.540 0.876 1
O12 0.481 0.460 0.124 1
O13 0.748 0.467 0.013 1
O14 0.252 0.533 0.987 1
O15 0.123 0.134 0.504 1
O16 0.877 0.866 0.496 1
O17 0.201 0.532 0.482 1
O18 0.799 0.468 0.518 1
O19 0.530 0.285 0.736 1
O20 0.470 0.715 0.264 1
O21 0.961 0.335 0.732 1
O22 0.039 0.665 0.268 1
O23 0.227 0.590 0.751 1
O24 0.773 0.410 0.249 1
O25 0.282 0.023 0.731 1
O26 0.718 0.977 0.269 1
O27 0.233 0.287 0.841 1
O28 0.767 0.713 0.159 1
O29 0.206 0.120 0.995 1
O30 0.794 0.880 0.005 1
O31 0.840 0.949 0.767 1
O32 0.160 0.051 0.233 1
O33 0.525 0.964 0.894 1
O34 0.475 0.036 0.106 1
O35 0.912 0.615 0.877 1
O36 0.088 0.385 0.123 1
O37 0.839 0.206 0.890 1
O38 0.161 0.794 0.110 1
O39 0.566 0.709 0.668 1
O40 0.434 0.291 0.332 1
```

Values from the calculation:
energy of formation from the pure elements: -2382 meV/atom
crystal system: triclinic
SG: No. 2
total energy after the MP2020 corrections: -7.8171 eV per atom

[4]
Material: Ca3Co2W2O12
Method: DFT, PBE with a Hubbard U
State: optimized geometry

```
data_Ca3Co2W2O12
_chemical_formula_sum 'Ca3 Co2 W2 O12'
_cell_length_a 5.388
_cell_length_b 5.511
_cell_length_c 7.799
_cell_angle_alpha 90.61
_cell_angle_beta 90.41
_cell_angle_gamma 91.64
_symmetry_space_group_name_H-M 'P 1'
_symmetry_Int_Tables_number 1
loop_
_symmetry_equiv_pos_as_xyz
'x,y,z'
loop_
_atom_site_label
_atom_site_fract_x
_atom_site_fract_y
_atom_site_fract_z
_atom_site_occupancy
Ca1 0.016 0.054 0.748 1
Ca2 0.496 0.544 0.750 1
Ca3 0.509 0.453 0.249 1
Co1 0.007 0.509 0.498 1
Co2 0.513 0.008 0.003 1
W1 0.507 0.998 0.490 1
W2 0.004 0.519 0.006 1
O1 0.295 0.277 0.543 1
O2 0.213 0.792 0.949 1
O3 0.685 0.701 0.467 1
O4 0.779 0.219 0.035 1
O5 0.785 0.217 0.466 1
O6 0.702 0.692 0.031 1
O7 0.209 0.782 0.552 1
O8 0.280 0.302 0.960 1
O9 0.921 0.478 0.759 1
O10 0.584 0.982 0.741 1
O11 0.080 0.521 0.243 1
O12 0.429 0.011 0.256 1
```

Values from the calculation:
energy of formation from the pure elements: -2364 meV/atom
crystal system: triclinic
SG: No. 1
total energy after the MP2020 corrections: -7.9180 eV per atom

[5]
Material: Ba5Cr3O12F
Method: DFT, PBE with a Hubbard U
State: optimized geometry

```
data_Ba5Cr3O12F
_chemical_formula_sum 'Ba10 Cr6 O24 F2'
_cell_length_a 10.582
_cell_length_b 10.582
_cell_length_c 7.978
_cell_angle_alpha 90.00
_cell_angle_beta 90.00
_cell_angle_gamma 120.00
_symmetry_space_group_name_H-M 'P 1'
_symmetry_Int_Tables_number 1
loop_
_symmetry_equiv_pos_as_xyz
'x,y,z'
loop_
_atom_site_label
_atom_site_fract_x
_atom_site_fract_y
_atom_site_fract_z
_atom_site_occupancy
Ba1 0.667 0.333 0.001 1
Ba2 0.333 0.667 0.999 1
Ba3 0.333 0.667 0.501 1
Ba4 0.667 0.333 0.499 1
Ba5 0.758 0.011 0.750 1
Ba6 0.242 0.989 0.250 1
Ba7 0.253 0.242 0.750 1
Ba8 0.747 0.758 0.250 1
Ba9 0.989 0.747 0.750 1
Ba10 0.011 0.253 0.250 1
Cr1 0.600 0.630 0.750 1
Cr2 0.400 0.370 0.250 1
Cr3 0.030 0.400 0.750 1
Cr4 0.970 0.600 0.250 1
Cr5 0.370 0.970 0.750 1
Cr6 0.630 0.030 0.250 1
O1 0.842 0.320 0.750 1
O2 0.158 0.680 0.250 1
O3 0.479 0.158 0.750 1
O4 0.521 0.842 0.250 1
O5 0.680 0.521 0.750 1
O6 0.320 0.479 0.250 1
O7 0.411 0.538 0.750 1
O8 0.589 0.462 0.250 1
O9 0.127 0.589 0.750 1
O10 0.873 0.411 0.250 1
O11 0.462 0.873 0.750 1
O12 0.538 0.127 0.250 1
O13 0.655 0.740 0.925 1
O14 0.345 0.260 0.075 1
O15 0.086 0.345 0.925 1
O16 0.345 0.260 0.425 1
O17 0.914 0.655 0.075 1
O18 0.655 0.740 0.575 1
O19 0.260 0.914 0.925 1
O20 0.914 0.655 0.425 1
O21 0.740 0.086 0.075 1
O22 0.086 0.345 0.575 1
O23 0.740 0.086 0.425 1
O24 0.260 0.914 0.575 1
F1 0.000 0.000 0.750 1
F2 0.000 0.000 0.250 1
```

Values from the calculation:
energy of formation from the pure elements: -2763 meV/atom
crystal system: hexagonal
SG: No. 176
total energy after the MP2020 corrections: -7.5174 eV per atom

[6]
Material: Nd2MnSb2O
Method: DFT, PBE with a Hubbard U
State: optimized geometry

```
data_Nd2MnSb2O
_chemical_formula_sum 'Nd2 Mn1 Sb2 O1'
_cell_length_a 3.449
_cell_length_b 3.449
_cell_length_c 16.308
_cell_angle_alpha 90.00
_cell_angle_beta 90.00
_cell_angle_gamma 90.00
_symmetry_space_group_name_H-M 'P 1'
_symmetry_Int_Tables_number 1
loop_
_symmetry_equiv_pos_as_xyz
'x,y,z'
loop_
_atom_site_label
_atom_site_fract_x
_atom_site_fract_y
_atom_site_fract_z
_atom_site_occupancy
Nd1 0.500 0.500 0.629 1
Nd2 0.500 0.500 0.371 1
Mn1 0.500 0.500 0.000 1
Sb1 0.500 0.500 0.166 1
Sb2 0.500 0.500 0.834 1
O1 0.500 0.500 0.500 1
```

Values from the calculation:
energy of formation from the pure elements: -378 meV/atom
crystal system: tetragonal
SG: No. 123
total energy after the MP2020 corrections: -5.6956 eV per atom

[7]
Material: Tl4V5CdClO15
Method: DFT, PBE with a Hubbard U
State: optimized geometry

```
data_Tl4V5CdClO15
_chemical_formula_sum 'Tl4 V5 Cd1 Cl1 O15'
_cell_length_a 9.274
_cell_length_b 9.274
_cell_length_c 5.714
_cell_angle_alpha 90.00
_cell_angle_beta 90.00
_cell_angle_gamma 90.00
_symmetry_space_group_name_H-M 'P 1'
_symmetry_Int_Tables_number 1
loop_
_symmetry_equiv_pos_as_xyz
'x,y,z'
loop_
_atom_site_label
_atom_site_fract_x
_atom_site_fract_y
_atom_site_fract_z
_atom_site_occupancy
Tl1 0.834 0.313 0.920 1
Tl2 0.166 0.687 0.920 1
Tl3 0.687 0.834 0.920 1
Tl4 0.313 0.166 0.920 1
V1 0.857 0.619 0.447 1
V2 0.381 0.857 0.447 1
V3 0.619 0.143 0.447 1
V4 0.500 0.500 0.472 1
V5 0.143 0.381 0.447 1
Cd1 0.000 0.000 0.489 1
Cl1 0.000 0.000 0.034 1
O1 0.145 0.376 0.155 1
O2 0.000 0.500 0.551 1
O3 0.376 0.855 0.155 1
O4 0.855 0.624 0.155 1
O5 0.116 0.211 0.561 1
O6 0.789 0.116 0.561 1
O7 0.448 0.691 0.560 1
O8 0.884 0.789 0.561 1
O9 0.552 0.309 0.560 1
O10 0.309 0.448 0.560 1
O11 0.624 0.145 0.155 1
O12 0.500 0.000 0.551 1
O13 0.691 0.552 0.560 1
O14 0.211 0.884 0.561 1
O15 0.500 0.500 0.189 1
```

Values from the calculation:
energy of formation from the pure elements: -2013 meV/atom
crystal system: tetragonal
SG: No. 75
total energy after the MP2020 corrections: -7.0850 eV per atom

[8]
Material: ZrNiO3
Method: DFT, PBE with a Hubbard U
State: optimized geometry

```
data_ZrNiO3
_chemical_formula_sum 'Zr1 Ni1 O3'
_cell_length_a 3.691
_cell_length_b 3.691
_cell_length_c 3.691
_cell_angle_alpha 90.00
_cell_angle_beta 90.00
_cell_angle_gamma 90.00
_symmetry_space_group_name_H-M 'P 1'
_symmetry_Int_Tables_number 1
loop_
_symmetry_equiv_pos_as_xyz
'x,y,z'
loop_
_atom_site_label
_atom_site_fract_x
_atom_site_fract_y
_atom_site_fract_z
_atom_site_occupancy
Zr1 0.000 0.000 0.000 1
Ni1 0.500 0.500 0.500 1
O1 0.500 0.500 0.000 1
O2 0.500 0.000 0.500 1
O3 0.000 0.500 0.500 1
```

Values from the calculation:
energy of formation from the pure elements: -1766 meV/atom
crystal system: cubic
SG: No. 221
total energy after the MP2020 corrections: -7.6005 eV per atom

The E results, record by record, are as follows: -5.555; -7.310; -6.825; -6.844; -6.817; -5.303; -6.362; -6.680 eV/atom.